Record 1
Compound: MgCo4O8
Source: the Materials Project database
Functional: GGA+U
Structure: optimized geometry

Unit cell a=5.822 b=5.837 c=5.848 alpha=116.78 beta=96.08 gamma=116.01
Positions (direct):
Mg  0.000  0.000  0.000
Co  0.361  0.740  0.612
Co  0.381  0.743  0.124
Co  0.384  0.246  0.629
Co  0.873  0.253  0.613
O  0.137  0.274  0.409
O  0.138  0.267  0.857
O  0.140  0.725  0.866
O  0.167  0.776  0.375
O  0.590  0.718  0.857
O  0.602  0.209  0.375
O  0.604  0.760  0.363
O  0.613  0.208  0.821

Summary:
- corrected total energy (MP2020 scheme) (eV per cell) = -86.18
- energy above the lowest structure with this stoichiometry (meV per atom) = 150
- crystal system = triclinic
- ΔH_f (0 K) (eV/atom) = -1.274

***

Record 2
Compound: MgCo2O4
Source: the Materials Project database
Functional: GGA+U
Structure: optimized geometry

Unit cell a=5.978 b=5.978 c=14.607 alpha=90.00 beta=90.00 gamma=120.00
Positions (direct):
Mg  0.000  0.000  0.000
Mg  0.000  0.000  0.246
Mg  0.333  0.667  0.581
Mg  0.667  0.333  0.289
Mg  0.667  0.333  0.665
Mg  0.667  0.333  0.914
Co  0.000  0.000  0.623
Co  0.167  0.333  0.790
Co  0.167  0.833  0.790
Co  0.332  0.166  0.457
Co  0.333  0.667  0.335
Co  0.333  0.667  0.957
Co  0.501  0.003  0.124
Co  0.501  0.499  0.124
Co  0.667  0.833  0.790
Co  0.834  0.166  0.457
Co  0.834  0.668  0.457
Co  0.997  0.499  0.124
O  0.000  0.000  0.382
O  0.000  0.000  0.865
O  0.025  0.512  0.868
O  0.152  0.304  0.539
O  0.152  0.848  0.539
O  0.182  0.364  0.043
O  0.182  0.818  0.043
O  0.308  0.154  0.712
O  0.333  0.667  0.199
O  0.333  0.667  0.716
O  0.355  0.178  0.197
O  0.488  0.512  0.868
O  0.488  0.975  0.868
O  0.509  0.018  0.381
O  0.509  0.491  0.381
O  0.636  0.818  0.043
O  0.667  0.333  0.049
O  0.667  0.333  0.531
O  0.696  0.848  0.539
O  0.822  0.178  0.197
O  0.822  0.645  0.197
O  0.846  0.154  0.712
O  0.846  0.692  0.712
O  0.982  0.491  0.381

Summary:
- corrected total energy (MP2020 scheme) (eV per cell) = -287.15
- energy above the lowest structure with this stoichiometry (meV per atom) = 97
- crystal system = trigonal
- ΔH_f (0 K) (eV/atom) = -1.750